Below is a relaxed UO2F2 crystal, with properties calculated at the meta-GGA r2SCAN level.

It has space group R-3m (No. 166, hexagonal axes), with a = 4.2078 Å, b = 4.2078 Å, c = 15.8250 Å, α = 90.00°, β = 90.00° and γ = 120.00°. The distinct sites, in fractional coordinates, are U at (0.0000, 0.0000, 0.0000), O at (0.0000, 0.0000, 0.1115) and F at (0.0000, 0.0000, 0.3328).

As for the formation energy: -334.1 kJ per mole of atoms.